[1]
# VNi3 PBE-GGA optimized geometry
data_VNi3
_chemical_formula_sum 'V1 Ni3'
_space_group_name_H-M_alt 'P 4/m m m'
_space_group_IT_number 123
_space_group_name_Hall '-P 4 2'
_cell_length_a 2.520
_cell_length_b 2.520
_cell_length_c 7.122
_cell_angle_alpha 90.00
_cell_angle_beta 90.00
_cell_angle_gamma 90.00
loop_
_atom_site_label
_atom_site_type_symbol
_atom_site_fract_x
_atom_site_fract_y
_atom_site_fract_z
_atom_site_occupancy
V1 V 0.000 0.000 0.000 1
Ni1 Ni 0.000 0.000 0.500 1
Ni2 Ni 0.500 0.500 0.253 1
# - formation enthalpy at 0 K (eV/atom) = -0.096
# - M_tot (μB/cell) = 0.4
# - E_tot (eV/f.u.) = -26.81

=====

[2]
# V3Ni2 PBE-GGA optimized geometry
data_V3Ni2
_chemical_formula_sum 'V18 Ni12'
_space_group_name_H-M_alt 'P 1 2/m 1'
_space_group_IT_number 10
_cell_length_a 8.894
_cell_length_b 4.613
_cell_length_c 9.023
_cell_angle_alpha 90.00
_cell_angle_beta 90.53
_cell_angle_gamma 90.00
loop_
_space_group_symop_operation_xyz
'x,y,z'
'-x,-y,-z'
'-x,y,-z'
'x,-y,z'
loop_
_atom_site_label
_atom_site_type_symbol
_atom_site_fract_x
_atom_site_fract_y
_atom_site_fract_z
_atom_site_occupancy
V1 V 0.035 0.000 0.125 1
V2 V 0.110 0.000 0.393 1
V3 V 0.126 0.500 0.964 1
V4 V 0.184 0.246 0.680 1
V5 V 0.322 0.254 0.183 1
V6 V 0.378 0.000 0.466 1
V7 V 0.394 0.500 0.897 1
Ni1 Ni 0.000 0.500 0.500 1
Ni2 Ni 0.065 0.500 0.243 1
Ni3 Ni 0.242 0.000 0.935 1
Ni4 Ni 0.261 0.500 0.435 1
Ni5 Ni 0.434 0.000 0.742 1
Ni6 Ni 0.462 0.500 0.631 1
Ni7 Ni 0.500 0.000 0.000 1
# - formation enthalpy at 0 K (eV/atom) = -0.188
# - E_tot (eV/f.u.) = -39.75

=====

[3]
# Zr3V2Ni4 PBE-GGA optimized geometry
data_Zr3V2Ni4
_chemical_formula_sum 'Zr6 V4 Ni8'
_space_group_name_H-M_alt 'P -1'
_space_group_IT_number 2
_cell_length_a 4.930
_cell_length_b 5.012
_cell_length_c 12.455
_cell_angle_alpha 89.35
_cell_angle_beta 88.77
_cell_angle_gamma 61.77
loop_
_space_group_symop_operation_xyz
'x,y,z'
'-x,-y,-z'
loop_
_atom_site_label
_atom_site_type_symbol
_atom_site_fract_x
_atom_site_fract_y
_atom_site_fract_z
_atom_site_occupancy
Zr1 Zr 0.006 0.494 0.374 1
Zr2 Zr 0.326 0.826 0.043 1
Zr3 Zr 0.344 0.839 0.288 1
V1 V 0.000 0.000 0.500 1
V2 V 0.168 0.666 0.834 1
V3 V 0.500 0.000 0.500 1
Ni1 Ni 0.000 0.500 0.000 1
Ni2 Ni 0.170 0.165 0.834 1
Ni3 Ni 0.331 0.333 0.164 1
Ni4 Ni 0.332 0.830 0.668 1
Ni5 Ni 0.500 0.500 0.500 1
# - formation enthalpy at 0 K (eV/atom) = -0.290
# - M_tot (μB/cell) = 0.0
# - E_tot (eV/f.u.) = -69.55

=====

[4]
# Y15Ni32 PBE-GGA optimized geometry
data_Y15Ni32
_chemical_formula_sum 'Y60 Ni128'
_space_group_name_H-M_alt 'F -4 3 m'
_space_group_IT_number 216
_space_group_name_Hall 'F -4 2 3'
_cell_length_a 14.387
_cell_length_b 14.387
_cell_length_c 14.387
_cell_angle_alpha 90.00
_cell_angle_beta 90.00
_cell_angle_gamma 90.00
loop_
_atom_site_label
_atom_site_type_symbol
_atom_site_fract_x
_atom_site_fract_y
_atom_site_fract_z
_atom_site_occupancy
Y1 Y 0.000 0.000 0.000 1
Y2 Y 0.015 0.250 0.250 1
Y3 Y 0.096 0.096 0.404 1
Y4 Y 0.127 0.127 0.873 1
Ni1 Ni 0.062 0.062 0.188 1
Ni2 Ni 0.067 0.067 0.693 1
Ni3 Ni 0.189 0.189 0.189 1
Ni4 Ni 0.189 0.189 0.689 1
# - formation enthalpy at 0 K (eV/atom) = -0.422
# - E_tot (eV/f.u.) = -301.79

=====

[5]
# Y3Ni PBE-GGA optimized geometry
data_Y3Ni
_chemical_formula_sum 'Y12 Ni4'
_space_group_name_H-M_alt 'P n m a'
_space_group_IT_number 62
_cell_length_a 6.867
_cell_length_b 9.704
_cell_length_c 6.367
_cell_angle_alpha 90.00
_cell_angle_beta 90.00
_cell_angle_gamma 90.00
loop_
_space_group_symop_operation_xyz
'x,y,z'
'-x,-y,-z'
'-x+1/2,-y,z+1/2'
'x+1/2,y,-z+1/2'
'x+1/2,-y+1/2,-z+1/2'
'-x+1/2,y+1/2,z+1/2'
'-x,y+1/2,-z'
'x,-y+1/2,z'
loop_
_atom_site_label
_atom_site_type_symbol
_atom_site_fract_x
_atom_site_fract_y
_atom_site_fract_z
_atom_site_occupancy
Y1 Y 0.036 0.250 0.146 1
Y2 Y 0.180 0.067 0.679 1
Ni1 Ni 0.110 0.750 0.443 1
# - formation enthalpy at 0 K (eV/atom) = -0.239
# - E_tot (eV/f.u.) = -26.14

=====

[6]
# Y2Ni17 PBE-GGA optimized geometry
data_Y2Ni17
_chemical_formula_sum 'Y4 Ni34'
_space_group_name_H-M_alt 'P 63/m m c'
_space_group_IT_number 194
_space_group_name_Hall '-P 6c 2c'
_cell_length_a 8.2524
_cell_length_b 8.2524
_cell_length_c 8.0161
_cell_angle_alpha 90.00
_cell_angle_beta 90.00
_cell_angle_gamma 120.00
loop_
_atom_site_label
_atom_site_type_symbol
_atom_site_fract_x
_atom_site_fract_y
_atom_site_fract_z
_atom_site_occupancy
Y1 Y 0.0000 0.0000 0.2500 1
Y2 Y 0.3333 0.6667 0.2500 1
Ni1 Ni 0.0000 0.5000 0.0000 1
Ni2 Ni 0.0440 0.3717 0.7500 1
Ni3 Ni 0.1652 0.3304 0.0218 1
Ni4 Ni 0.3333 0.6667 0.6028 1
# - formation enthalpy at 0 K (eV/atom) = -0.194
# - M_tot (μB/cell) = 14.0
# - E_tot (eV/f.u.) = -114.88

=====

Question: Which value of E_tot does entry 6 give?
Answer: -114.88 eV/f.u.